Entry 1:
The following is a GGA+U calculation of crystalline Cr4OF11 at its relaxed geometry, from Materials Project. Values from VASP.

Computed properties:
Maximum piezoelectric response (C/m²): 0.13
SG: P1 (1)
E_tot (eV per atom): -6.057
Corrected total energy (MP2020 scheme) (eV/atom): -6.9172
Formation energy from the elements (eV/atom): -2.878

Structure (Quantum ESPRESSO input):
```
&SYSTEM
  ibrav = 0, nat = 16, ntyp = 3
/
ATOMIC_SPECIES
F 19.00 F.upf
Cr 52.00 Cr.upf
O 16.00 O.upf
CELL_PARAMETERS angstrom
2.478 -0.453 4.408
5.866 3.454 -2.936
-2.200 4.515 1.789
ATOMIC_POSITIONS crystal
F 0.618 0.749 0.498
Cr 0.499 0.499 0.500
F 0.312 0.562 0.812
F 0.810 0.441 0.690
F 0.692 0.057 0.807
F 0.879 0.749 0.000
F 0.307 0.940 0.190
F 0.190 0.558 0.309
F 0.688 0.436 0.189
O 0.808 0.060 0.308
Cr 0.989 0.001 0.012
F 0.116 0.249 0.999
F 0.198 0.948 0.697
Cr 0.512 0.001 0.489
Cr 0.000 0.499 0.000
F 0.383 0.249 0.501
```

Entry 2:
The following is a GGA+U calculation of crystalline CrPO4F at its relaxed geometry, from Materials Project. Values from VASP.

Computed properties:
SG: Pna2_1 (33)
E_tot (eV per atom): -6.973
Corrected total energy (MP2020 scheme) (eV/atom): -7.7172
Formation energy from the elements (eV/atom): -2.464

Structure (Quantum ESPRESSO input):
```
&SYSTEM
  ibrav = 0, nat = 56, ntyp = 4
/
ATOMIC_SPECIES
Cr 52.00 Cr.upf
F 19.00 F.upf
O 16.00 O.upf
P 30.97 P.upf
CELL_PARAMETERS angstrom
6.241 0.000 0.000
0.000 10.551 0.000
0.000 0.000 12.628
ATOMIC_POSITIONS crystal
Cr 0.004 0.747 0.110
F 0.974 0.625 0.226
Cr 0.504 0.247 0.390
O 0.477 0.877 0.508
P 0.166 0.997 0.998
O 0.693 0.482 0.101
F 0.970 0.374 0.778
F 0.026 0.125 0.774
F 0.474 0.125 0.274
O 0.307 0.982 0.899
O 0.196 0.272 0.388
P 0.666 0.497 0.502
Cr 0.252 0.999 0.248
Cr 0.996 0.247 0.890
O 0.193 0.982 0.399
Cr 0.496 0.747 0.610
P 0.997 0.748 0.685
P 0.834 0.497 0.002
F 0.030 0.874 0.222
O 0.012 0.112 0.989
O 0.308 0.017 0.097
O 0.304 0.272 0.888
F 0.530 0.374 0.278
O 0.457 0.133 0.741
P 0.003 0.248 0.315
Cr 0.748 0.499 0.752
O 0.691 0.220 0.887
P 0.334 0.997 0.498
O 0.023 0.877 0.008
O 0.488 0.112 0.489
O 0.537 0.366 0.745
O 0.043 0.133 0.241
Cr 0.248 0.999 0.748
P 0.503 0.748 0.185
O 0.543 0.633 0.259
F 0.470 0.874 0.722
O 0.988 0.612 0.011
P 0.497 0.248 0.815
O 0.977 0.377 0.992
O 0.809 0.220 0.387
O 0.192 0.017 0.597
O 0.037 0.866 0.755
O 0.804 0.772 0.612
O 0.463 0.866 0.255
O 0.963 0.366 0.245
Cr 0.752 0.499 0.252
O 0.696 0.772 0.112
O 0.512 0.612 0.511
O 0.523 0.377 0.492
O 0.191 0.720 0.613
O 0.807 0.482 0.601
O 0.808 0.517 0.403
O 0.692 0.517 0.903
F 0.526 0.625 0.726
O 0.309 0.720 0.113
O 0.957 0.633 0.759
```

Entry 3:
The following is a GGA+U calculation of crystalline CrPO4F at its relaxed geometry, from Materials Project. Values from VASP.

Computed properties:
SG: P-1 (2)
E_tot (eV per atom): -6.968
Corrected total energy (MP2020 scheme) (eV/atom): -7.7118
Formation energy from the elements (eV/atom): -2.459

Structure (Quantum ESPRESSO input):
```
&SYSTEM
  ibrav = 0, nat = 14, ntyp = 4
/
ATOMIC_SPECIES
O 16.00 O.upf
F 19.00 F.upf
Cr 52.00 Cr.upf
P 30.97 P.upf
CELL_PARAMETERS angstrom
-0.781 3.389 3.801
-3.901 -3.153 1.229
6.196 -3.638 1.261
ATOMIC_POSITIONS crystal
O 0.132 0.684 0.888
O 0.868 0.316 0.112
F 0.117 0.942 0.265
O 0.258 0.792 0.602
Cr 0.000 0.000 0.500
P 0.672 0.354 0.236
Cr 0.000 0.000 0.000
P 0.328 0.646 0.764
O 0.295 0.335 0.650
O 0.635 0.765 0.919
O 0.742 0.208 0.398
O 0.365 0.235 0.081
O 0.705 0.665 0.350
F 0.883 0.058 0.735
```

Entry 4:
The following is a GGA+U calculation of crystalline VCrP2O8F2 at its relaxed geometry, from Materials Project. Values from VASP.

Computed properties:
E_tot (eV per atom): -7.088
Corrected total energy (MP2020 scheme) (eV/atom): -7.8111
Formation energy from the elements (eV/atom): -2.599

Structure (Quantum ESPRESSO input):
```
&SYSTEM
  ibrav = 0, nat = 28, ntyp = 5
/
ATOMIC_SPECIES
O 16.00 O.upf
V 50.94 V.upf
F 19.00 F.upf
P 30.97 P.upf
Cr 52.00 Cr.upf
CELL_PARAMETERS angstrom
-0.862 -6.216 3.148
7.049 0.238 2.993
-2.018 6.013 3.682
ATOMIC_POSITIONS crystal
O 0.460 0.719 0.882
O 0.081 0.745 0.588
V 0.000 0.000 0.000
O 0.806 0.063 0.095
O 0.152 0.507 0.331
O 0.961 0.219 0.882
O 0.194 0.937 0.905
O 0.652 0.007 0.331
F 0.230 0.084 0.253
P 0.732 0.152 0.250
O 0.919 0.255 0.412
O 0.848 0.493 0.669
P 0.267 0.848 0.750
F 0.730 0.584 0.253
P 0.768 0.348 0.750
O 0.348 0.993 0.669
O 0.540 0.281 0.118
P 0.232 0.652 0.250
O 0.306 0.563 0.095
V 0.500 0.500 0.000
F 0.770 0.916 0.747
O 0.040 0.781 0.118
O 0.419 0.755 0.412
Cr 0.500 0.000 0.500
Cr 0.000 0.500 0.500
O 0.694 0.437 0.905
F 0.270 0.416 0.747
O 0.581 0.245 0.588
```

Entry 5:
The following is a GGA+U calculation of crystalline RbCrO3F at its relaxed geometry, from Materials Project. Values from VASP.

Computed properties:
SG: P2_12_12_1 (19)
E_tot (eV per atom): -5.903
Corrected total energy (MP2020 scheme) (eV/atom): -6.6565
Formation energy from the elements (eV/atom): -2.091

Structure (Quantum ESPRESSO input):
```
&SYSTEM
  ibrav = 0, nat = 24, ntyp = 4
/
ATOMIC_SPECIES
O 16.00 O.upf
Rb 85.47 Rb.upf
Cr 52.00 Cr.upf
F 19.00 F.upf
CELL_PARAMETERS angstrom
0.000 7.135 0.000
0.000 0.000 7.829
8.116 0.000 0.000
ATOMIC_POSITIONS crystal
O 0.754 0.041 0.708
O 0.244 0.517 0.466
Rb 0.750 0.648 0.871
Cr 0.755 0.148 0.880
O 0.060 0.770 0.614
Rb 0.250 0.148 0.629
O 0.246 0.541 0.792
Rb 0.750 0.852 0.371
F 0.451 0.782 0.614
Cr 0.255 0.852 0.120
O 0.756 0.017 0.034
O 0.560 0.230 0.386
O 0.254 0.959 0.292
O 0.746 0.459 0.208
Rb 0.250 0.352 0.129
F 0.951 0.218 0.386
F 0.049 0.718 0.114
Cr 0.745 0.352 0.380
Cr 0.245 0.648 0.620
F 0.549 0.282 0.886
O 0.440 0.730 0.114
O 0.256 0.983 0.966
O 0.744 0.483 0.534
O 0.940 0.270 0.886
```

Entry 6:
The following is a GGA+U calculation of crystalline Sr5Cr3O12F at its relaxed geometry, from Materials Project. Values from VASP.

Computed properties:
SG: P6_3/m (176)
E_tot (eV per atom): -6.752
Corrected total energy (MP2020 scheme) (eV/atom): -7.4521
Formation energy from the elements (eV/atom): -2.752

Structure (Quantum ESPRESSO input):
```
&SYSTEM
  ibrav = 0, nat = 42, ntyp = 4
/
ATOMIC_SPECIES
Sr 87.62 Sr.upf
O 16.00 O.upf
Cr 52.00 Cr.upf
F 19.00 F.upf
CELL_PARAMETERS angstrom
2.337 9.286 -3.399
-9.349 -1.934 3.477
2.105 1.936 6.737
ATOMIC_POSITIONS crystal
Sr 0.761 0.760 0.250
O 0.130 0.528 0.250
Sr 0.667 0.333 0.001
O 0.472 0.602 0.250
Cr 0.405 0.030 0.750
O 0.908 0.256 0.937
Sr 0.001 0.761 0.750
O 0.744 0.652 0.937
O 0.092 0.744 0.063
Cr 0.970 0.375 0.750
O 0.870 0.472 0.750
O 0.256 0.348 0.063
F 0.000 0.000 0.500
Sr 0.240 0.001 0.250
O 0.744 0.652 0.563
O 0.602 0.130 0.750
O 0.317 0.835 0.750
O 0.518 0.683 0.750
Cr 0.625 0.595 0.750
O 0.528 0.398 0.750
Sr 0.999 0.239 0.250
F 0.000 0.000 0.000
Cr 0.375 0.405 0.250
O 0.652 0.908 0.063
Cr 0.030 0.625 0.250
Cr 0.595 0.970 0.250
O 0.165 0.482 0.750
Sr 0.760 0.999 0.750
O 0.835 0.518 0.250
O 0.908 0.256 0.563
O 0.256 0.348 0.437
Sr 0.333 0.667 0.999
Sr 0.667 0.333 0.499
O 0.398 0.870 0.250
O 0.348 0.092 0.563
O 0.348 0.092 0.937
O 0.482 0.317 0.250
O 0.683 0.165 0.250
Sr 0.333 0.667 0.501
O 0.092 0.744 0.437
Sr 0.239 0.240 0.750
O 0.652 0.908 0.437
```

Entry 7:
The following is a GGA+U calculation of crystalline Sr5Cr3O12F at its relaxed geometry, from Materials Project. Values from VASP.

Computed properties:
SG: P6_3/m (176)
E_tot (eV per atom): -6.786
Corrected total energy (MP2020 scheme) (eV/atom): -7.4861
Formation energy from the elements (eV/atom): -2.786

Structure (Quantum ESPRESSO input):
```
&SYSTEM
  ibrav = 0, nat = 42, ntyp = 4
/
ATOMIC_SPECIES
Sr 87.62 Sr.upf
Cr 52.00 Cr.upf
O 16.00 O.upf
F 19.00 F.upf
CELL_PARAMETERS angstrom
5.047 -8.741 0.000
5.047 8.741 0.000
0.000 0.000 7.504
ATOMIC_POSITIONS crystal
Sr 0.758 0.751 0.250
Cr 0.601 0.971 0.250
O 0.479 0.311 0.250
Sr 0.242 0.249 0.750
Cr 0.029 0.630 0.250
O 0.657 0.910 0.434
Sr 0.994 0.242 0.250
O 0.521 0.689 0.750
Cr 0.971 0.370 0.750
F 0.000 0.000 0.250
Sr 0.667 0.333 0.500
O 0.090 0.747 0.434
Cr 0.370 0.399 0.250
O 0.832 0.521 0.250
O 0.168 0.479 0.750
O 0.747 0.657 0.566
Cr 0.399 0.029 0.750
Sr 0.249 0.006 0.250
Sr 0.751 0.994 0.750
O 0.532 0.403 0.750
O 0.689 0.168 0.250
O 0.403 0.871 0.250
O 0.311 0.832 0.750
Sr 0.006 0.758 0.750
O 0.871 0.468 0.750
Sr 0.333 0.667 0.500
O 0.253 0.343 0.434
F 0.000 0.000 0.750
O 0.910 0.253 0.934
O 0.090 0.747 0.066
Sr 0.667 0.333 0.000
O 0.343 0.090 0.934
O 0.657 0.910 0.066
O 0.343 0.090 0.566
Sr 0.333 0.667 0.000
Cr 0.630 0.601 0.750
O 0.597 0.129 0.750
O 0.910 0.253 0.566
O 0.253 0.343 0.066
O 0.747 0.657 0.934
O 0.129 0.532 0.250
O 0.468 0.597 0.250
```

Entry 8:
The following is a GGA+U calculation of crystalline Rb2CrF6 at its relaxed geometry, from Materials Project. Values from VASP.

Computed properties:
SG: I4/mmm (139)
E_tot (eV per atom): -5.001
Corrected total energy (MP2020 scheme) (eV/atom): -5.5313
Formation energy from the elements (eV/atom): -2.964

Structure (Quantum ESPRESSO input):
```
&SYSTEM
  ibrav = 0, nat = 9, ntyp = 3
/
ATOMIC_SPECIES
F 19.00 F.upf
Rb 85.47 Rb.upf
Cr 52.00 Cr.upf
CELL_PARAMETERS angstrom
3.885 -2.357 4.262
-1.919 -0.614 5.704
-0.757 -5.725 2.337
ATOMIC_POSITIONS crystal
F 0.209 0.791 0.209
F 0.791 0.209 0.791
F 0.784 0.216 0.216
F 0.784 0.784 0.216
F 0.216 0.216 0.784
Rb 0.750 0.750 0.750
Rb 0.250 0.250 0.250
Cr 0.000 0.000 0.000
F 0.216 0.784 0.784
```

Entry 9:
The following is a GGA+U calculation of crystalline Rb3CrF7 at its relaxed geometry, from Materials Project. Values from VASP.

Computed properties:
SG: P4/mbm (127)
E_tot (eV per atom): -4.830
Corrected total energy (MP2020 scheme) (eV/atom): -5.3059
Formation energy from the elements (eV/atom): -2.943

Structure (Quantum ESPRESSO input):
```
&SYSTEM
  ibrav = 0, nat = 22, ntyp = 3
/
ATOMIC_SPECIES
Cr 52.00 Cr.upf
Rb 85.47 Rb.upf
F 19.00 F.upf
CELL_PARAMETERS angstrom
8.225 0.000 0.000
0.000 8.225 0.000
0.000 0.000 6.044
ATOMIC_POSITIONS crystal
Cr 0.000 0.500 0.000
Rb 0.808 0.308 0.500
F 0.159 0.659 0.000
F 0.111 0.389 0.223
F 0.889 0.611 0.777
F 0.889 0.611 0.223
F 0.341 0.159 0.000
F 0.611 0.111 0.223
Rb 0.692 0.808 0.500
Rb 0.500 0.500 0.000
F 0.389 0.889 0.223
Cr 0.500 0.000 0.000
Rb 0.308 0.192 0.500
F 0.841 0.341 0.000
Rb 0.192 0.692 0.500
F 0.611 0.111 0.777
F 0.000 0.000 0.500
F 0.659 0.841 0.000
F 0.389 0.889 0.777
F 0.500 0.500 0.500
Rb 0.000 0.000 0.000
F 0.111 0.389 0.777
```

Entry 10:
The following is a GGA+U calculation of crystalline Rb2CrF6 at its relaxed geometry, from Materials Project. Values from VASP.

Computed properties:
SG: Fm-3m (225)
E_tot (eV per atom): -4.995
Corrected total energy (MP2020 scheme) (eV/atom): -5.5248
Formation energy from the elements (eV/atom): -2.958

Structure (Quantum ESPRESSO input):
```
&SYSTEM
  ibrav = 0, nat = 9, ntyp = 3
/
ATOMIC_SPECIES
F 19.00 F.upf
Rb 85.47 Rb.upf
Cr 52.00 Cr.upf
CELL_PARAMETERS angstrom
3.531 4.627 2.057
6.116 -0.187 -0.816
2.698 3.842 -4.009
ATOMIC_POSITIONS crystal
F 0.214 0.786 0.214
F 0.786 0.786 0.214
Rb 0.250 0.250 0.250
Rb 0.750 0.750 0.750
F 0.214 0.786 0.786
Cr 0.000 0.000 0.000
F 0.786 0.214 0.214
F 0.214 0.214 0.786
F 0.786 0.214 0.786
```

Entry 11:
The following is a GGA+U calculation of crystalline ZnCrSF5 at its relaxed geometry, from Materials Project. Values from VASP.

Computed properties:
SG: P1 (1)
E_tot (eV per atom): -4.836
Corrected total energy (MP2020 scheme) (eV/atom): -5.3744
Formation energy from the elements (eV/atom): -2.297

Structure (Quantum ESPRESSO input):
```
&SYSTEM
  ibrav = 0, nat = 16, ntyp = 4
/
ATOMIC_SPECIES
Zn 65.41 Zn.upf
S 32.06 S.upf
F 19.00 F.upf
Cr 52.00 Cr.upf
CELL_PARAMETERS angstrom
-1.094 -5.816 1.068
5.496 -2.823 -0.025
1.113 -1.044 7.180
ATOMIC_POSITIONS crystal
Zn 0.260 0.000 0.329
Zn 0.546 0.325 0.843
S 0.471 0.038 0.706
F 0.680 0.552 0.636
F 0.219 0.169 0.077
F 0.017 0.168 0.544
S 0.567 0.097 0.432
F 0.279 0.577 0.965
F 0.044 0.798 0.393
F 0.111 0.478 0.720
F 0.755 0.310 0.008
F 0.776 0.771 0.972
F 0.340 0.399 0.342
Cr 0.007 0.488 0.489
F 0.876 0.494 0.275
Cr 0.984 0.486 0.001
```

Entry 12:
The following is a GGA+U calculation of crystalline Sr5Cr3F19 at its relaxed geometry, from Materials Project. Values from VASP.

Computed properties:
SG: P1 (1)
E_tot (eV per atom): -5.881
Corrected total energy (MP2020 scheme) (eV/atom): -6.4283
Formation energy from the elements (eV/atom): -3.696

Structure (Quantum ESPRESSO input):
```
&SYSTEM
  ibrav = 0, nat = 54, ntyp = 3
/
ATOMIC_SPECIES
F 19.00 F.upf
Cr 52.00 Cr.upf
Sr 87.62 Sr.upf
CELL_PARAMETERS angstrom
-5.208 0.136 5.249
-5.012 -9.615 0.002
4.544 -3.520 9.282
ATOMIC_POSITIONS crystal
F 0.776 0.618 0.203
F 0.024 0.200 0.376
F 0.758 0.514 0.977
F 0.252 0.484 0.015
F 0.353 0.942 0.818
F 0.384 0.564 0.651
F 0.917 0.157 0.648
F 0.291 0.829 0.061
F 0.586 0.388 0.788
F 0.829 0.835 0.073
F 0.574 0.344 0.149
Cr 0.323 0.519 0.832
Sr 0.081 0.677 0.171
F 0.926 0.342 0.149
Cr 0.787 0.006 0.998
Cr 0.154 0.166 0.513
Sr 0.279 0.278 0.160
Sr 0.442 0.838 0.275
F 0.613 0.077 0.164
F 0.282 0.174 0.936
Sr 0.926 0.323 0.819
F 0.432 0.657 0.847
F 0.992 0.056 0.045
F 0.626 0.787 0.613
F 0.950 0.651 0.442
F 0.862 0.535 0.698
Sr 0.736 0.178 0.322
F 0.413 0.692 0.453
F 0.717 0.856 0.348
F 0.967 0.800 0.622
F 0.578 0.310 0.537
F 0.049 0.351 0.550
Sr 0.555 0.172 0.720
Cr 0.285 0.999 0.992
F 0.267 0.045 0.163
F 0.228 0.386 0.787
Cr 0.842 0.835 0.483
F 0.074 0.654 0.849
F 0.712 0.174 0.918
Sr 0.733 0.719 0.831
F 0.264 0.980 0.481
F 0.583 0.956 0.943
F 0.074 0.851 0.343
Sr 0.735 0.503 0.517
F 0.616 0.442 0.344
F 0.733 0.021 0.517
Cr 0.681 0.483 0.162
F 0.966 0.939 0.837
F 0.269 0.154 0.653
F 0.425 0.620 0.195
F 0.150 0.464 0.296
F 0.378 0.208 0.386
Sr 0.262 0.823 0.671
Sr 0.265 0.496 0.480
```